(1)
## Sn3B (GGA-PBE)

Data for a geometry-optimized Sn3B structure.

Unit cell a=7.177 b=7.177 c=7.177 alpha=90.00 beta=90.00 gamma=90.00
Space group Fm-3m (No. 225)
Symmetry-distinct sites (fractional):
1 Sn 0.000 0.000 0.000
2 Sn 0.250 0.250 0.250
3 B 0.000 0.000 0.500

Summary:
The calculated density is 6.6 Mg/m³. The energy relative to the elements comes out at 0.94 eV/atom. The calculation puts the energy above the lowest structure with this stoichiometry at 0.016 eV/atom.


(2)
## Sn3B (GGA-PBE)

Data for a geometry-optimized Sn3B structure.

Unit cell a=4.529 b=4.529 c=4.529 alpha=90.00 beta=90.00 gamma=90.00
Space group Pm-3m (No. 221)
Symmetry-distinct sites (fractional):
1 Sn 0.000 0.000 0.500
2 B 0.500 0.500 0.500

Summary:
The calculated density is 6.6 Mg/m³. The energy relative to the elements comes out at 0.93 eV/atom. The calculation puts the energy above the lowest structure with this stoichiometry at 0.010 eV/atom.


(3)
## Sn3B (GGA-PBE)

Data for a geometry-optimized Sn3B structure.

Unit cell a=4.473 b=4.473 c=9.365 alpha=90.00 beta=90.00 gamma=90.00
Space group I4/mmm (No. 139)
Symmetry-distinct sites (fractional):
1 Sn 0.000 0.000 0.000
2 Sn 0.000 0.500 0.250
3 B 0.000 0.000 0.500

Summary:
The calculated density is 6.5 Mg/m³. The energy relative to the elements comes out at 0.92 eV/atom. The calculation puts the energy above the lowest structure with this stoichiometry at 0.000 eV/atom.


(4)
## SnB (GGA-PBE)

Data for a geometry-optimized SnB structure.

Unit cell a=3.6957 b=3.6957 c=6.3649 alpha=90.00 beta=90.00 gamma=120.00
Space group P6_3mc (No. 186)
Symmetry-distinct sites (fractional):
1 Sn 0.3333 0.6667 0.0000
2 B 0.3333 0.6667 0.6436

Summary:
The calculated density is 5.7 Mg/m³. The energy relative to the elements comes out at 0.77 eV/atom.


(5)
## SnB6 (GGA-PBE)

Data for a geometry-optimized SnB6 structure.

Unit cell a=4.201 b=4.201 c=4.201 alpha=90.00 beta=90.00 gamma=90.00
Space group Pm-3m (No. 221)
Symmetry-distinct sites (fractional):
1 Sn 0.000 0.000 0.000
2 B 0.202 0.500 0.500

Summary:
The calculated density is 4.1 Mg/m³. The energy relative to the elements comes out at 0.17 eV/atom.


(6)
## TaB (GGA-PBE)

Data for a geometry-optimized TaB structure.

Unit cell a=3.295 b=8.718 c=3.172 alpha=90.00 beta=90.00 gamma=90.00
Space group Cmcm (No. 63)
Symmetry-distinct sites (fractional):
1 Ta 0.000 0.145 0.250
2 B 0.000 0.440 0.250

Summary:
The calculated density is 14.0 Mg/m³. The energy relative to the elements comes out at -0.81 eV/atom.


(7)
## Ta3B4 (GGA-PBE)

Data for a geometry-optimized Ta3B4 structure.

Unit cell a=3.146 b=3.310 c=14.070 alpha=90.00 beta=90.00 gamma=90.00
Space group Immm (No. 71)
Symmetry-distinct sites (fractional):
1 Ta 0.000 0.000 0.000
2 Ta 0.000 0.500 0.315
3 B 0.000 0.000 0.436
4 B 0.000 0.500 0.133

Summary:
The calculated density is 13.3 Mg/m³. The energy relative to the elements comes out at -0.77 eV/atom.


(8)
## Ta2B (GGA-PBE)

Data for a geometry-optimized Ta2B structure.

Unit cell a=5.805 b=5.805 c=4.905 alpha=90.00 beta=90.00 gamma=90.00
Space group I4/mcm (No. 140)
Symmetry-distinct sites (fractional):
1 Ta 0.168 0.332 0.000
2 B 0.000 0.000 0.250

Summary:
The calculated density is 15.0 Mg/m³. The energy relative to the elements comes out at -0.52 eV/atom.


(9)
## Ta5B6 (GGA-PBE)

Data for a geometry-optimized Ta5B6 structure.

Unit cell a=3.159 b=22.743 c=3.307 alpha=90.00 beta=90.00 gamma=90.00
Space group Cmmm (No. 65)
Symmetry-distinct sites (fractional):
1 Ta 0.000 0.000 0.000
2 Ta 0.000 0.195 0.500
3 Ta 0.000 0.386 0.000
4 B 0.000 0.082 0.500
5 B 0.000 0.273 0.000
6 B 0.000 0.460 0.500

Summary:
The calculated density is 13.6 Mg/m³. The energy relative to the elements comes out at -0.78 eV/atom.


(10)
## TaB4 (GGA-PBE)

Data for a geometry-optimized TaB4 structure.

Unit cell a=5.3159 b=5.3159 c=6.7830 alpha=90.00 beta=90.00 gamma=120.00
Space group P6_3/mmc (No. 194)
Symmetry-distinct sites (fractional):
1 Ta 0.0000 0.0000 0.2500
2 Ta 0.3333 0.6667 0.2500
3 B 0.0000 0.3367 0.0000
4 B 0.3333 0.6667 0.6249

Summary:
The calculated density is 9.0 Mg/m³. The energy relative to the elements comes out at 0.07 eV/atom.


(11)
## TaTiB4 (GGA-PBE)

Data for a geometry-optimized TaTiB4 structure.

Unit cell a=3.0696 b=3.0696 c=6.5340 alpha=90.00 beta=90.00 gamma=120.00
Space group P6/mmm (No. 191)
Symmetry-distinct sites (fractional):
1 Ta 0.0000 0.0000 0.0000
2 Ti 0.0000 0.0000 0.5000
3 B 0.3333 0.6667 0.2569

Summary:
The calculated density is 8.5 Mg/m³. The energy relative to the elements comes out at -0.88 eV/atom.


(12)
## TbB2 (GGA-PBE)

Data for a geometry-optimized TbB2 structure.

Unit cell a=3.3089 b=3.3089 c=3.8984 alpha=90.00 beta=90.00 gamma=120.00
Space group P6/mmm (No. 191)
Symmetry-distinct sites (fractional):
1 Tb 0.0000 0.0000 0.0000
2 B 0.3333 0.6667 0.5000

Summary:
The calculated density is 8.1 Mg/m³. The energy relative to the elements comes out at -0.53 eV/atom.


(13)
## TbB4 (GGA-PBE)

Data for a geometry-optimized TbB4 structure.

Unit cell a=7.119 b=7.119 c=4.031 alpha=90.00 beta=90.00 gamma=90.00
Space group P4/mbm (No. 127)
Symmetry-distinct sites (fractional):
1 Tb 0.182 0.318 0.000
2 B 0.000 0.000 0.203
3 B 0.039 0.824 0.500
4 B 0.087 0.587 0.500

Summary:
The calculated density is 6.6 Mg/m³. The energy relative to the elements comes out at -0.60 eV/atom. The calculation puts the energy above the lowest structure with this stoichiometry at 0.000 eV/atom.


(14)
## TbVB4 (GGA-PBE)

Data for a geometry-optimized TbVB4 structure.

Unit cell a=6.022 b=11.659 c=3.455 alpha=90.00 beta=90.00 gamma=90.00
Space group Pbam (No. 55)
Symmetry-distinct sites (fractional):
1 Tb 0.124 0.151 0.000
2 V 0.127 0.417 0.000
3 B 0.023 0.692 0.500
4 B 0.114 0.547 0.500
5 B 0.136 0.967 0.500
6 B 0.215 0.815 0.500

Summary:
The calculated density is 6.9 Mg/m³. The energy relative to the elements comes out at -0.70 eV/atom.


(15)
## Tb3B7W (GGA-PBE)

Data for a geometry-optimized Tb3B7W structure.

Unit cell a=3.486 b=16.084 c=9.526 alpha=90.00 beta=90.00 gamma=90.00
Space group Cmcm (No. 63)
Symmetry-distinct sites (fractional):
1 Tb 0.000 0.107 0.060
2 Tb 0.000 0.243 0.750
3 B 0.000 0.273 0.033
4 B 0.000 0.366 0.147
5 B 0.000 0.457 0.750
6 B 0.000 0.480 0.092
7 W 0.000 0.053 0.750

Summary:
The calculated density is 9.2 Mg/m³. The energy relative to the elements comes out at -0.56 eV/atom.


(16)
## TcB (GGA-PBE)

Data for a geometry-optimized TcB structure.

Unit cell a=2.8804 b=2.8804 c=2.9456 alpha=90.00 beta=90.00 gamma=120.00
Space group P-6m2 (No. 187)
Symmetry-distinct sites (fractional):
1 Tc 0.0000 0.0000 0.0000
2 B 0.3333 0.6667 0.5000

Summary:
The calculated density is 8.5 Mg/m³. The energy relative to the elements comes out at -0.28 eV/atom. The calculation puts the energy above the lowest structure with this stoichiometry at 0.000 eV/atom.


(17)
## TcB4 (GGA-PBE)

Data for a geometry-optimized TcB4 structure.

Unit cell a=5.3116 b=5.3116 c=6.4632 alpha=90.00 beta=90.00 gamma=120.00
Space group P6_3/mmc (No. 194)
Symmetry-distinct sites (fractional):
1 Tc 0.0000 0.0000 0.2500
2 Tc 0.3333 0.6667 0.2500
3 B 0.0000 0.3361 0.0000
4 B 0.3333 0.6667 0.6182

Summary:
The calculated density is 5.9 Mg/m³. The energy relative to the elements comes out at 0.37 eV/atom.


(18)
## TcB (GGA-PBE)

Data for a geometry-optimized TcB structure.

Unit cell a=3.0009 b=3.0009 c=5.4069 alpha=90.00 beta=90.00 gamma=120.00
Space group P6_3/mmc (No. 194)
Symmetry-distinct sites (fractional):
1 Tc 0.3333 0.6667 0.2500
2 B 0.0000 0.0000 0.0000

Summary:
The calculated density is 8.6 Mg/m³. The energy relative to the elements comes out at -0.12 eV/atom. The calculation puts the energy above the lowest structure with this stoichiometry at 0.161 eV/atom.


(19)
## Tc3B (GGA-PBE)

Data for a geometry-optimized Tc3B structure.

Unit cell a=2.917 b=9.277 c=7.261 alpha=90.00 beta=90.00 gamma=90.00
Space group Cmcm (No. 63)
Symmetry-distinct sites (fractional):
1 Tc 0.000 0.076 0.250
2 Tc 0.000 0.365 0.062
3 B 0.000 0.244 0.750

Summary:
The calculated density is 10.3 Mg/m³. The energy relative to the elements comes out at -0.27 eV/atom.


(20)
## TcB (GGA-PBE)

Data for a geometry-optimized TcB structure.

Unit cell a=2.8754 b=2.8754 c=5.9459 alpha=90.00 beta=90.00 gamma=120.00
Space group P6_3/mmc (No. 194)
Symmetry-distinct sites (fractional):
1 Tc 0.0000 0.0000 0.0000
2 B 0.3333 0.6667 0.2500

Summary:
The calculated density is 8.5 Mg/m³. The energy relative to the elements comes out at -0.22 eV/atom. The calculation puts the energy above the lowest structure with this stoichiometry at 0.060 eV/atom.


(21)
## TcB (GGA-PBE)

Data for a geometry-optimized TcB structure.

Unit cell a=4.405 b=4.405 c=4.405 alpha=90.00 beta=90.00 gamma=90.00
Space group Fm-3m (No. 225)
Symmetry-distinct sites (fractional):
1 Tc 0.000 0.000 0.000
2 B 0.000 0.000 0.500

Summary:
The calculated density is 8.5 Mg/m³. The energy relative to the elements comes out at -0.01 eV/atom. The calculation puts the energy above the lowest structure with this stoichiometry at 0.275 eV/atom.


(22)
## TcB (GGA-PBE)

Data for a geometry-optimized TcB structure.

Unit cell a=2.733 b=2.733 c=2.733 alpha=90.00 beta=90.00 gamma=90.00
Space group Pm-3m (No. 221)
Symmetry-distinct sites (fractional):
1 Tc 0.000 0.000 0.000
2 B 0.500 0.500 0.500

Summary:
The calculated density is 8.8 Mg/m³. The energy relative to the elements comes out at 0.14 eV/atom. The calculation puts the energy above the lowest structure with this stoichiometry at 0.418 eV/atom.


(23)
## ThB12 (GGA-PBE)

Data for a geometry-optimized ThB12 structure.

Unit cell a=7.601 b=7.601 c=7.601 alpha=90.00 beta=90.00 gamma=90.00
Space group Fm-3m (No. 225)
Symmetry-distinct sites (fractional):
1 Th 0.000 0.000 0.000
2 B 0.000 0.169 0.331

Summary:
The calculated density is 5.5 Mg/m³. The energy relative to the elements comes out at -0.25 eV/atom.